DFT (PBE with a Hubbard U) results for K2CrOF5 after structural relaxation.

The structure in POSCAR format:
```
K2CrOF5
1.0
4.8179 3.8863 -0.5086
4.8179 -3.8863 -0.5086
-0.0267 0.0000 -8.3027
K Cr O F
4 2 2 10
Cartesian
2.9079 0.0191 -0.4927
6.7144 0.0191 -4.6758
6.7011 -0.0191 -8.8272
2.8946 -0.0191 -4.6441
4.8112 2.4920 -2.5843
4.7978 -2.4920 -6.7356
4.8112 -3.6786 -2.5843
4.7978 3.6786 -6.7356
5.4010 2.2671 -0.8275
4.2213 2.2671 -4.3410
4.2080 -2.2671 -8.4924
5.3876 -2.2671 -4.9789
4.8112 0.4990 -2.5843
4.7978 -0.4990 -6.7356
3.0157 2.3114 -2.0159
6.6066 2.3114 -3.1526
6.5933 -2.3114 -7.3040
3.0024 -2.3114 -6.1673
```

DFT (PBE with a Hubbard U) results for UMo2O11 after structural relaxation.

The structure in POSCAR format:
```
UMo2O11
1.0
-12.5033 -9.7554 -7.9823
-7.4752 -10.0673 -12.5693
4.1316 -9.6944 5.1882
U Mo O
6 12 66
Cartesian
-8.3943 -17.0889 -5.0128
-7.4526 -12.4283 -10.3506
-3.9506 -10.7465 -5.5930
-11.9813 -14.0463 -14.1715
-11.8963 -18.7706 -9.7704
-3.8656 -15.4708 -1.1919
-2.0616 -14.3175 -4.6564
-8.3704 -20.2546 -11.1681
-13.7853 -15.1996 -10.7070
-7.4765 -9.2625 -4.1953
-8.9613 -13.6122 -7.1605
-10.6774 -10.9506 -9.2226
-6.8856 -15.9049 -8.2030
-5.1695 -18.5665 -6.1408
-16.9911 -17.0062 -15.7472
-2.6321 -7.5576 -0.6499
1.1442 -12.5109 0.3838
-13.2148 -21.9595 -14.7135
-2.9358 -9.6866 -4.5738
-12.9751 -15.1075 -15.2099
-12.9111 -19.8305 -10.7896
-2.8718 -14.4096 -0.1535
-14.8435 -22.2598 -13.2555
-0.4298 -12.0119 1.8475
-1.0034 -7.2573 -2.1080
-15.4171 -17.5052 -17.2109
-9.3418 -18.2124 -6.0408
-7.3814 -15.9694 -4.0445
-6.5051 -11.3047 -9.3226
-8.4655 -13.5477 -11.3189
-9.2967 -12.3138 -8.6683
-6.5502 -17.2033 -6.6951
-13.2102 -25.4388 -12.0942
-1.2231 -8.8851 -0.0802
-2.6367 -4.0783 -3.2693
-14.6238 -20.6321 -15.2833
-10.0795 -14.8119 -8.7865
-9.0803 -9.7807 -8.0334
-5.7674 -14.7052 -6.5770
-6.7666 -19.7365 -7.3301
-3.0559 -15.1886 -5.7503
-7.3133 -19.3873 -10.1315
-12.7910 -14.3285 -9.6132
-8.5336 -10.1298 -5.2319
-15.9812 -16.0252 -14.7816
-3.5677 -8.5432 -1.6833
0.1343 -13.4919 -0.5818
-12.2792 -20.9739 -13.6801
-7.9000 -12.7096 -6.1618
-11.6360 -11.8596 -10.3149
-7.9469 -16.8075 -9.2016
-4.2109 -17.6575 -5.0486
-2.9846 -14.3496 -3.1036
-9.9937 -20.0645 -10.3981
-12.8623 -15.1675 -12.2598
-5.8532 -9.4526 -4.9654
-6.1188 -7.0766 -7.0318
-10.9931 -17.6430 -11.6563
-9.7281 -22.4405 -8.3316
-4.8538 -11.8742 -3.7072
-10.5774 -13.4126 -6.4137
-11.5772 -10.9941 -7.6741
-5.2695 -16.1045 -8.9497
-4.2697 -18.5230 -7.6893
-4.9047 -11.8212 -6.6692
-10.9244 -12.9780 -13.1891
-10.9422 -17.6959 -8.6942
-4.9225 -16.5391 -2.1743
-5.6075 -8.4608 -9.3892
-8.5114 -16.4445 -12.0293
-10.2394 -21.0563 -5.9743
-7.3355 -13.0726 -3.3341
-8.4555 -15.4189 -6.7180
-6.8182 -18.8528 -4.6896
-7.3914 -14.0983 -8.6455
-9.0287 -10.6643 -10.6738
-16.4501 -18.7946 -15.2741
-2.9331 -5.7841 -1.3420
0.6032 -10.7225 -0.0894
-12.9138 -23.7330 -14.0215
-13.2532 -22.7975 -11.2774
-2.2171 -11.4620 0.0491
-2.5937 -6.7196 -4.0860
-13.6298 -18.0552 -15.4125
```

DFT (PBE with a Hubbard U) results for Li3Mn4O8 after structural relaxation.

The structure in POSCAR format:
```
Li3Mn4O8
1.0
-5.7091 0.7056 -1.9451
-1.7207 -3.1487 4.9229
-0.5095 6.9161 4.1829
Li Mn O
6 8 16
Cartesian
-3.1454 3.0468 6.2707
-3.7149 -1.2215 1.4889
0.0000 0.0000 0.0000
-4.7939 1.4262 0.8900
-0.2547 3.4580 2.0914
-3.9696 2.2365 3.5803
-0.8604 -1.5743 2.4615
-2.8458 -0.4551 4.2513
-1.9662 1.1214 1.8027
-3.1093 3.8108 1.1189
-5.7040 -0.1134 3.2929
-2.2352 4.5864 3.8678
-5.9731 3.3516 5.3579
-5.0935 4.9282 2.9094
-6.8470 4.3987 3.7179
-2.2417 6.1416 5.1205
-2.5708 -2.0638 3.1929
-4.5903 -0.9867 5.0577
-4.1219 4.0780 4.4525
-5.6975 -1.6685 2.0401
-5.3684 6.5368 3.9678
-1.8935 -1.2885 5.7601
-1.0923 0.0743 3.4427
-3.1260 1.1580 5.3106
-2.2244 3.0173 2.6537
-3.8174 0.3950 2.7081
-4.8133 3.3150 1.8501
-5.7149 1.4557 4.5069
-6.0458 5.7615 1.4006
-3.3490 5.4597 2.1030
```

Values from the calculation:
polymorph energy (0 for the lowest one)	0.031	eV per atom

DFT (PBE with a Hubbard U) results for YCoF5 after structural relaxation.

The structure in POSCAR format:
```
YCoF5
1.0
4.6402 -1.8563 2.8679
3.3015 3.8131 -2.7862
-4.2880 0.1467 3.8463
Y Co F
1 1 5
Cartesian
3.9708 0.9784 0.0408
0.0000 0.0000 0.0000
4.0821 0.4382 2.1620
-0.4284 1.6651 1.7659
1.8308 0.4511 0.0188
6.1108 1.5056 0.0628
0.1761 -0.8548 3.3571
```

DFT (PBE with a Hubbard U) results for Ti3CrCo2P6O24 after structural relaxation.

The structure in POSCAR format:
```
Ti3CrCo2P6O24
1.0
7.4057 -4.3200 0.0000
7.4057 4.3200 0.0000
4.8857 0.0000 7.0453
Ti Cr Co P O
3 1 2 6 24
Cartesian
7.0387 0.0000 2.5176
2.7972 0.0000 1.0005
12.6638 0.0000 4.5296
16.9215 0.0000 6.0525
19.6939 0.0000 7.0441
9.8335 0.0000 3.5172
9.1720 1.2560 0.2940
8.1177 -3.0634 3.2416
7.3850 1.8074 5.2900
12.3272 -1.7931 1.7547
11.5876 3.0611 3.8227
10.5416 -1.2680 6.7470
14.0653 0.8165 3.5491
13.5986 -1.6166 4.8539
13.1223 0.8001 6.1855
8.9930 2.8046 0.3988
10.6025 0.8275 0.0609
8.7283 0.6467 1.6596
8.4706 -3.7000 1.8592
8.2213 -1.5158 3.0770
3.7423 1.6259 1.3166
7.8441 0.8691 4.1316
12.8803 -0.9048 0.6209
3.2576 -0.7950 2.6716
9.0690 -3.4564 4.3484
6.8347 0.8955 6.4331
11.7948 -0.9048 2.9153
8.5862 2.6289 5.6979
11.4387 1.5153 3.9110
11.2482 3.7028 5.1841
10.9109 -0.6105 5.3866
4.2061 -0.8309 0.0200
10.7204 -2.7980 6.6597
6.5753 -0.7765 0.8376
6.0815 1.6231 2.2182
5.6285 -0.8465 3.4846
```

DFT (PBE with a Hubbard U) results for CaFe3Si4O12 after structural relaxation.

The structure in POSCAR format:
```
CaFe3Si4O12
1.0
-4.7529 4.5926 -3.9067
-4.7507 -4.5911 -3.9076
-4.7768 4.5937 6.7413
Ca Fe Si O
2 6 8 24
Cartesian
-9.5193 2.7531 -1.1588
-4.7537 -1.8594 -2.5768
-4.7554 3.7575 -2.5757
-9.5289 6.8227 1.5013
-4.7589 2.2280 0.0884
-9.5168 0.9216 1.5010
-9.5210 0.9200 -3.8187
-4.7675 3.7566 2.7477
-6.7494 -0.8334 -4.6835
-6.7501 -0.8459 0.6294
-7.5356 3.7464 0.9598
-2.7602 -0.8349 -0.4686
-7.5661 5.3904 -1.7452
-7.5795 5.4009 3.5833
-11.4729 5.3932 -0.5732
-6.7077 0.8070 -1.9938
-10.9652 4.2901 0.5808
-6.1945 -0.2987 -0.8410
-8.0731 4.2850 -2.8971
-8.0907 4.2939 2.4304
-8.1067 4.7349 -0.2914
-3.3439 0.1626 -1.7047
-6.1792 0.1424 1.8809
-6.1664 0.1637 -3.4473
-8.3865 -0.7625 -4.6702
-8.3791 -0.8105 0.6317
-5.9068 3.7792 0.9569
-5.8757 3.8295 -4.3884
-5.9418 5.4538 -1.7341
-5.9533 5.4603 3.5915
-8.3441 0.8648 3.3232
-8.3349 0.8626 -2.0000
-6.0914 -2.2653 -4.4017
-10.8143 2.3167 -3.0094
-8.2236 2.3162 0.6911
-8.1702 2.3259 -4.6575
-3.6330 2.1548 1.7930
-8.4031 6.7574 3.2095
-5.9002 2.1590 3.6991
-5.8872 2.1647 -1.6200
```

no.,calculated total energy (eV per atom),energy relative to the elements (eV per formula unit)
1,-5.087,-24.4
2,-6.946,-23.8
3,-6.718,-31.0
4,-6.104,-23.5
5,-7.664,-98.9
6,-7.461,-55.7